# HfUNb2C4

Crystalline HfUNb2C4 at its relaxed geometry (PBE, the Materials Project).

a b c (Å): 11.030 11.030 11.030
angles (deg): 16.96 16.96 16.96
Fractional coordinates of all 8 atoms:
Hf1 0.000 0.000 0.000
U1 0.244 0.244 0.244
Nb1 0.491 0.491 0.491
Nb2 0.747 0.747 0.747
C1 0.119 0.119 0.119
C2 0.374 0.374 0.374
C3 0.625 0.625 0.625
C4 0.864 0.864 0.864

Results
The formation energy is -0.527 eV/atom. The raw total energy comes out at -10.323 eV/atom. For the total magnetization, the calculation gives 0.00 μB/cell. As for the space group: R3m (160).